12
Lattice="4.386 -3.097 0.000 4.386 3.097 0.000 -3.151 0.000 6.774" Properties=species:S:1:pos:R:3 comment="CrF5, relaxed, DFT GGA+U" e_form_ev_per_atom=-2.25 sg="C2/c (15)" total_magnetization_mub_per_fu=1.00 pbc="T T T"
Cr 0.000 0.000 0.000
Cr -1.575 0.000 3.387
F 2.023 2.624 5.080
F 0.030 0.133 4.147
F 1.606 -0.133 0.760
F 4.167 1.362 0.342
F 3.031 1.362 3.045
F 2.591 -1.362 3.729
F 1.455 -1.362 6.432
F 4.016 0.133 6.014
F 5.592 -0.133 2.627
F 3.599 -2.624 1.693

54
Lattice="14.135 0.000 0.000 0.000 3.092 0.000 -0.005 0.000 14.135" Properties=species:S:1:pos:R:3 comment="FeOF, relaxed, DFT GGA+U" e_form_ev_per_atom=-2.03 sg="Pm (6)" total_magnetization_mub_per_fu=5.00 pbc="T T T"
Fe 0.000 0.000 0.000
Fe 14.128 0.000 4.713
Fe 1.988 1.546 11.715
Fe 2.103 1.546 7.015
Fe 2.289 1.546 2.639
Fe 4.726 0.000 4.518
Fe 4.758 0.000 9.450
Fe 4.776 0.000 0.083
Fe 6.736 1.546 11.815
Fe 6.862 1.546 2.357
Fe 6.903 1.546 7.283
Fe 9.170 0.000 0.309
Fe 9.247 0.000 9.244
Fe 9.506 0.000 4.836
Fe 11.382 1.546 2.409
Fe 11.581 1.546 7.260
Fe 11.648 1.546 11.752
Fe 13.814 0.000 9.535
O 0.734 1.546 3.788
O 0.734 1.546 13.277
O 1.218 0.000 10.836
O 1.292 0.000 6.211
O 3.156 0.000 3.374
O 5.409 1.546 8.485
O 5.469 1.546 13.270
O 5.605 1.546 3.819
O 5.980 0.000 1.557
O 6.005 0.000 10.886
O 7.790 0.000 8.044
O 8.280 1.546 1.026
O 10.184 1.546 3.856
O 10.219 1.546 8.682
O 10.704 0.000 6.274
O 10.779 0.000 1.395
O 12.634 0.000 8.063
O 12.976 1.546 10.499
F 0.835 1.546 8.585
F 1.304 0.000 1.506
F 3.075 0.000 12.728
F 3.088 0.000 8.074
F 3.535 1.546 0.940
F 3.622 1.546 10.403
F 3.710 1.546 5.737
F 5.956 0.000 6.188
F 7.817 0.000 3.321
F 7.904 0.000 12.729
F 8.261 1.546 5.684
F 8.357 1.546 10.480
F 10.193 1.546 13.208
F 10.611 0.000 11.013
F 12.460 0.000 12.848
F 12.550 0.000 3.318
F 13.074 1.546 5.628
F 13.131 1.546 0.996

56
Lattice="9.198 0.000 0.000 0.000 7.405 0.000 0.000 0.000 12.104" Properties=species:S:1:pos:R:3 comment="LiMnP3O9, relaxed, DFT GGA+U" e_form_ev_per_atom=-2.58 sg="Pnma (62)" relative_energy_ev_per_atom=0.053 total_magnetization_mub_per_fu=5.00 pbc="T T T"
Li 0.245 1.851 0.378
Li 4.354 5.554 6.430
Li 4.844 1.851 5.674
Li 8.953 5.554 11.726
Mn 0.212 5.554 2.594
Mn 4.387 1.851 8.647
Mn 4.811 5.554 3.458
Mn 8.986 1.851 9.510
P 1.773 1.851 6.540
P 2.285 4.054 10.276
P 2.285 7.054 10.276
P 2.314 0.351 4.224
P 2.314 3.352 4.224
P 2.826 5.554 0.488
P 6.372 1.851 11.616
P 6.884 4.054 7.880
P 6.884 7.054 7.880
P 6.913 0.351 1.828
P 6.913 3.352 1.828
P 7.424 5.554 5.564
O 0.856 1.851 7.702
O 1.063 0.433 10.686
O 1.063 3.269 10.686
O 1.329 5.554 0.705
O 1.415 0.611 5.556
O 1.415 3.091 5.556
O 1.419 3.835 3.131
O 1.419 7.273 3.131
O 1.740 5.554 9.912
O 2.859 1.851 3.860
O 3.180 0.133 9.183
O 3.180 3.570 9.183
O 3.184 4.314 11.608
O 3.184 6.794 11.608
O 3.270 1.851 6.757
O 3.536 4.136 4.634
O 3.536 6.972 4.634
O 3.743 5.554 1.649
O 5.455 1.851 10.455
O 5.661 0.433 7.470
O 5.661 3.269 7.470
O 5.928 5.554 5.347
O 6.014 0.611 0.496
O 6.014 3.091 0.496
O 6.018 3.835 2.921
O 6.018 7.273 2.921
O 6.339 5.554 8.244
O 7.458 1.851 2.192
O 7.779 0.133 8.973
O 7.779 3.570 8.973
O 7.783 4.314 6.548
O 7.783 6.794 6.548
O 7.869 1.851 11.399
O 8.135 4.136 1.418
O 8.135 6.972 1.418
O 8.342 5.554 4.403

184
Lattice="7.802 0.000 0.000 3.898 11.012 0.000 3.892 0.017 31.656" Properties=species:S:1:pos:R:3 comment="K5Cr10F31, relaxed, DFT GGA+U" e_form_ev_per_atom=-3.01 sg="P1 (1)" total_magnetization_mub_per_fu=34.00 pbc="T T T"
K 0.000 0.000 0.000
K 3.913 5.434 16.017
K 7.791 10.810 25.687
K 3.908 5.241 9.620
K 3.910 5.850 3.388
K 7.817 10.636 19.063
K 7.788 5.436 29.084
K 7.796 10.594 13.571
K 3.915 0.276 5.861
K 7.792 5.424 22.012
K 3.900 0.225 0.386
K 7.811 4.994 16.055
K 7.799 5.596 9.822
K 7.783 0.043 25.375
K 7.802 5.443 3.405
K 11.715 10.848 19.431
K 11.708 5.886 29.144
K 11.683 10.733 13.093
K 7.825 0.129 6.331
K 11.694 5.031 21.946
Cr 5.842 7.310 25.924
Cr 1.947 1.789 9.321
Cr 1.957 3.787 0.189
Cr 1.949 2.253 3.179
Cr 5.852 8.591 16.261
Cr 5.855 7.040 19.240
Cr 5.853 9.070 10.113
Cr 5.838 3.568 25.156
Cr 5.846 2.053 28.652
Cr 5.841 6.855 12.723
Cr 5.833 9.271 3.430
Cr 5.866 7.566 6.618
Cr 5.863 3.077 19.040
Cr 5.848 1.399 22.565
Cr 9.728 9.475 28.528
Cr 5.851 7.779 0.393
Cr 5.835 3.279 12.813
Cr 5.869 1.599 15.989
Cr 5.848 4.012 6.703
Cr 9.752 8.816 22.436
Cr 9.736 7.311 25.925
Cr 5.846 1.783 9.315
Cr 5.866 3.792 0.185
Cr 5.857 2.261 3.176
Cr 9.757 8.613 16.258
Cr 9.767 7.043 19.235
Cr 9.748 9.059 10.115
Cr 9.735 3.568 25.151
Cr 9.735 2.037 28.644
Cr 9.751 6.856 12.732
Cr 9.771 9.273 3.434
Cr 9.750 7.560 6.622
Cr 9.757 3.084 19.042
Cr 9.769 1.408 22.571
Cr 13.606 9.494 28.529
Cr 9.755 7.770 0.393
Cr 9.755 3.290 12.819
Cr 9.736 1.578 15.993
Cr 9.736 4.020 6.701
Cr 13.663 8.822 22.443
F 5.646 7.557 23.974
F 5.611 10.271 15.340
F 6.010 7.002 27.817
F 5.633 9.307 18.029
F 3.900 8.760 3.421
F 5.619 7.228 21.294
F 3.907 7.375 6.569
F 3.909 2.872 19.376
F 2.212 3.983 2.242
F 3.909 1.697 22.274
F 2.313 3.199 4.848
F 2.103 1.481 7.430
F 5.611 3.657 29.785
F 7.767 9.745 28.233
F 1.689 0.567 4.084
F 1.707 1.546 1.411
F 3.903 7.610 0.673
F 5.639 3.305 27.106
F 6.248 5.438 25.542
F 5.986 9.363 12.010
F 6.277 10.940 9.739
F 3.893 2.987 12.693
F 3.902 1.244 15.920
F 5.646 8.813 8.162
F 3.891 4.167 7.044
F 6.090 6.855 17.192
F 5.545 7.219 10.527
F 6.204 7.605 14.608
F 5.989 3.870 23.261
F 5.907 4.747 20.014
F 5.775 9.188 5.494
F 7.789 7.727 25.748
F 5.977 0.922 30.178
F 5.583 1.709 24.733
F 3.897 2.205 9.497
F 7.807 8.407 22.462
F 5.611 3.888 17.325
F 5.853 9.510 1.380
F 5.711 4.385 14.359
F 9.362 8.870 30.456
F 6.080 0.513 27.531
F 5.723 4.846 11.700
F 7.803 9.000 16.415
F 7.803 3.493 31.567
F 7.812 7.300 19.521
F 3.903 1.838 3.039
F 6.004 6.007 7.739
F 9.518 10.346 23.574
F 6.216 1.976 20.624
F 5.972 6.436 5.086
F 5.867 1.361 18.033
F 6.106 7.007 2.128
F 7.792 2.451 28.626
F 9.997 9.165 26.363
F 7.800 8.632 9.950
F 9.620 9.962 20.924
F 7.787 3.167 25.307
F 5.896 1.649 13.923
F 9.581 6.999 27.819
F 9.715 6.115 31.092
F 5.490 3.249 4.822
F 6.136 3.635 8.898
F 7.796 6.675 12.398
F 5.613 3.990 2.230
F 7.802 9.648 3.517
F 6.078 2.048 11.261
F 7.809 7.865 6.704
F 9.327 5.445 25.514
F 9.335 10.926 9.712
F 5.717 1.489 7.417
F 9.953 7.569 23.980
F 7.810 3.230 18.742
F 9.998 10.297 15.344
F 10.001 9.337 18.017
F 7.808 1.140 22.856
F 9.600 9.350 12.012
F 10.017 7.225 21.290
F 9.384 7.656 14.596
F 11.668 9.176 28.834
F 9.507 6.879 17.189
F 7.802 7.983 0.053
F 7.795 3.450 12.926
F 9.997 3.627 29.791
F 7.806 2.077 15.981
F 9.584 3.851 23.251
F 6.098 1.537 1.414
F 6.101 0.580 4.096
F 9.919 3.299 27.101
F 9.698 4.753 20.017
F 9.601 0.866 30.143
F 7.792 3.932 6.312
F 11.707 9.102 22.487
F 9.978 8.795 8.169
F 9.843 9.182 5.497
F 9.491 0.511 27.506
F 11.689 6.930 26.074
F 9.396 2.010 20.639
F 7.798 1.375 9.160
F 10.048 7.210 10.535
F 9.761 9.500 1.385
F 7.812 4.090 0.432
F 10.017 1.713 24.737
F 7.804 2.681 3.367
F 10.016 3.894 17.328
F 9.599 6.004 7.746
F 9.887 4.423 14.348
F 9.895 4.854 11.707
F 9.637 6.421 5.095
F 9.500 6.984 2.121
F 11.703 8.194 16.074
F 13.355 9.160 26.351
F 11.711 6.759 18.978
F 9.439 3.635 8.897
F 9.762 1.361 18.041
F 11.701 9.488 10.254
F 13.994 8.845 30.443
F 11.687 3.949 25.002
F 13.889 10.348 23.586
F 9.493 2.074 11.262
F 9.679 1.656 13.928
F 11.691 1.754 28.612
F 11.698 6.958 13.101
F 13.795 9.983 20.940
F 13.686 6.108 31.094

Number 2 is which compound? FeOF